(1)
First-principles (PBE) data for a relaxed NaSmHf4O12 crystal, as listed in the Materials Project.

```
18
Lattice="0.0000 -4.0285 -4.0104 0.0000 -4.0285 4.0104 -8.2132 0.0000 0.0000" Properties=species:S:1:pos:R:3 pbc="T T T"
Na 0.0000 -4.0285 0.0985
Sm -4.1066 -4.0285 3.8586
Hf -1.9694 -2.0802 -2.0164
Hf -6.2439 -2.0802 -2.0164
Hf -6.2439 -5.9767 -2.0164
Hf -1.9694 -5.9767 -2.0164
O -2.3290 -1.6613 -0.0104
O -2.3290 -6.3957 -0.0104
O -5.8842 -6.3957 -0.0104
O -5.8842 -1.6613 -0.0104
O -2.5159 -4.0285 1.9757
O -1.6890 -4.0285 -1.5850
O -6.5243 -4.0285 -1.5850
O -5.6973 -4.0285 1.9757
O 0.0000 -5.7082 1.8009
O -4.1066 -2.4657 -2.1388
O 0.0000 -2.3488 1.8009
O -4.1066 -5.5913 -2.1388
```

space-group type = No. 38

=====

(2)
First-principles (PBE) data for a relaxed ZrNb2VC4 crystal, as listed in the Materials Project.

```
8
Lattice="10.3550 -1.5860 0.0000 10.3550 1.5860 0.0000 10.1121 0.0000 2.7363" Properties=species:S:1:pos:R:3 pbc="T T T"
Zr 3.7597 0.0000 0.3338
Nb 27.0250 0.0000 2.3992
Nb 19.3577 0.0000 1.7185
V 11.4928 0.0000 1.0203
C 15.4588 0.0000 1.3724
C 7.7747 0.0000 0.6902
C 0.1002 0.0000 0.0089
C 22.9085 0.0000 2.0337
```

space-group type = No. 160

=====

(3)
First-principles (PBE) data for a relaxed NiH10C4S2N8 crystal, as listed in the Materials Project.

```
50
Lattice="4.0331 7.4891 0.0000 -4.0331 7.4891 0.0000 0.0000 3.3351 8.5792" Properties=species:S:1:pos:R:3 pbc="T T T"
Ni -3.1486 8.3229 2.1448
Ni 3.1486 9.9904 6.4344
H 2.6238 7.3121 1.8922
H 2.6238 9.3337 2.3974
H -2.6238 11.0013 6.6870
H -2.6238 8.9796 6.1818
H 0.9460 11.9308 0.3885
H 0.9460 4.7150 3.9011
H -0.9460 6.3826 8.1907
H -0.9460 13.5983 4.6781
H -0.8999 7.6530 1.2976
H -0.8999 8.9928 2.9920
H 0.8999 10.6603 7.2816
H 0.8999 9.3205 5.5872
H 1.7194 5.4108 1.0602
H 1.7194 11.2350 3.2294
H -1.7194 12.9025 7.5189
H -1.7194 7.0783 5.3498
H -1.2009 11.5576 0.8799
H -1.2009 5.0882 3.4097
H 1.2009 6.7557 7.6993
H 1.2009 13.2252 5.1694
C -0.3111 13.3873 1.1558
C -0.3111 3.2585 3.1338
C 0.3111 4.9260 7.4234
C 0.3111 15.0548 5.4454
C -1.9321 6.1007 0.7639
C -1.9321 10.5451 3.5257
C 1.9321 12.2126 7.8153
C 1.9321 7.7683 5.0535
S -0.6424 8.7684 8.4126
S -0.6424 11.2125 4.4561
S 0.6424 9.5449 0.1666
S 0.6424 7.1009 4.1230
N -0.4381 14.5984 1.6354
N -0.4381 2.0474 2.6541
N 0.4381 3.7149 6.9437
N 0.4381 16.2659 5.9250
N 0.9122 12.8875 0.7780
N 0.9122 3.7583 3.5116
N -0.9122 5.4258 7.8012
N -0.9122 14.5551 5.0676
N -1.8316 7.2397 1.4185
N -1.8316 9.4061 2.8711
N 1.8316 11.0736 7.1607
N 1.8316 8.9072 5.7081
N -1.3597 12.5558 0.9516
N -1.3597 4.0900 3.3380
N 1.3597 5.7575 7.6276
N 1.3597 14.2234 5.2412
```

space-group type = No. 15

=====

(4)
First-principles (PBE) data for a relaxed Sm2Ge6Rh crystal, as listed in the Materials Project.

```
9
Lattice="0.0000 4.0266 0.0000 4.1960 0.0000 0.0000 0.0000 -2.0133 -11.1460" Properties=species:S:1:pos:R:3 pbc="T T T"
Sm 2.0980 2.0133 -6.2149
Sm 2.0980 0.0000 -2.5737
Ge 2.0980 0.0000 -11.0600
Ge 2.0980 0.0000 -8.5619
Ge 0.0000 2.0133 -11.0015
Ge 0.0000 2.0133 -8.4924
Ge 0.0000 2.0133 -3.6998
Ge 0.0000 0.0000 -5.2608
Rh 0.0000 2.0133 -1.2505
```

space-group type = No. 38

=====

(5)
First-principles (PBE) data for a relaxed NdSnPt crystal, as listed in the Materials Project.

```
12
Lattice="-1.6865 -3.0831 3.0442 -2.4881 -4.2222 -5.6546 7.0766 -3.9979 -0.1286" Properties=species:S:1:pos:R:3 pbc="T T T"
Nd 3.2147 -7.5901 -0.5805
Nd 1.7046 -2.0388 0.6547
Nd 1.1975 -9.2644 -3.3937
Nd -0.3127 -3.7131 -2.1585
Sn 2.0263 -5.9644 -3.1429
Sn 5.6201 -5.1808 -0.3583
Sn 0.8758 -5.3389 0.4038
Sn -2.7180 -6.1225 -2.3808
Pt 4.0469 -7.7373 -3.8190
Pt 3.0412 -4.3552 -0.9508
Pt -0.1391 -6.9480 -1.7882
Pt -1.1448 -3.5660 1.0800
```

space-group type = No. 62

=====

(6)
First-principles (PBE) data for a relaxed Zn10Fe3 crystal, as listed in the Materials Project.

```
26
Lattice="6.0808 -6.1204 -2.5555 -1.6503 -7.0786 -2.8388 2.9444 -0.6788 -7.1859" Properties=species:S:1:pos:R:3 pbc="T T T"
Zn 0.5149 -9.2396 -3.7615
Zn -0.0096 -4.8205 -4.3938
Zn 4.3907 -6.6984 -5.1928
Zn 6.8523 -4.6409 -8.8307
Zn 7.3769 -9.0600 -8.1984
Zn 3.0101 -7.1706 -7.3471
Zn 1.3302 -7.0788 -5.3124
Zn 4.6772 -12.0476 -9.1047
Zn 0.6261 -2.0442 -3.2530
Zn 5.5495 -6.9684 -8.0405
Zn 5.8790 -8.9422 -10.5554
Zn 2.5553 -5.0677 -3.8268
Zn 4.2060 -9.2969 -5.5836
Zn 3.8497 -5.0117 -8.9347
Zn 1.1394 -5.0827 -7.1822
Zn 3.6276 -4.4240 -6.2809
Zn 1.6640 -9.5026 -6.5498
Zn 4.3743 -9.4316 -8.3022
Zn 1.6352 -6.3067 -9.4384
Zn 1.9396 -8.8707 -9.0715
Fe 7.9920 -6.5762 -7.3263
Fe 0.9662 -6.7601 -2.7834
Fe 5.5152 -8.4282 -3.5236
Fe 5.0329 -4.3644 -4.1051
Fe 6.6721 -6.2602 -4.0227
Fe 4.5064 -6.3169 -2.6224
```

space-group type = No. 42

=====

no.,formation energy from the elements (eV per atom)
1,-3.202
2,-0.494
3,-0.323
4,-0.527
5,-1.035
6,-0.033